No. 1
Here is La3Rh4Pb13 after structural relaxation from the Materials Project database. Energies are from r²SCAN.

```
La3Rh4Pb13
1.0
-0.6425 9.9311 -1.8258
-8.4585 -1.5286 -5.3379
-5.5150 1.1874 8.3992
Pb La Rh
26 6 8
Direct
0.8064 0.6552 0.5000
0.8064 0.3448 0.5000
0.3064 0.0000 0.8448
0.8448 0.6936 0.0000
0.1936 0.6552 0.5000
0.6936 0.0000 0.1552
0.5000 0.1936 0.6552
0.5000 0.8064 0.3448
0.0000 0.1552 0.3064
0.3448 0.5000 0.8064
0.1936 0.3448 0.5000
0.0000 0.0000 0.0000
0.5000 0.8064 0.6552
0.3064 0.0000 0.1552
0.6552 0.5000 0.8064
0.6936 0.0000 0.8448
0.8448 0.3064 0.0000
0.1552 0.6936 0.0000
0.1552 0.3064 0.0000
0.0000 0.1552 0.6936
0.0000 0.8448 0.6936
0.5000 0.5000 0.5000
0.3448 0.5000 0.1936
0.0000 0.8448 0.3064
0.5000 0.1936 0.3448
0.6552 0.5000 0.1936
0.5000 0.2500 0.0000
0.0000 0.5000 0.2500
0.0000 0.5000 0.7500
0.5000 0.7500 0.0000
0.7500 0.0000 0.5000
0.2500 0.0000 0.5000
0.2500 0.2500 0.2500
0.7500 0.7500 0.2500
0.2500 0.7500 0.7500
0.2500 0.7500 0.2500
0.7500 0.2500 0.7500
0.7500 0.7500 0.7500
0.7500 0.2500 0.2500
0.2500 0.2500 0.7500
```

Output
The raw total energy is -46.312 eV per atom. The space group is Pm-3n (223). Its formation energy is -0.44 eV per atom.

No. 2
Here is Ag2F3 after structural relaxation from the Materials Project database. Energies are from r²SCAN.

```
Ag2F3
1.0
3.1597 -3.2692 -3.5163
-0.7313 5.5834 -1.1516
5.6506 -1.7960 2.0491
F Ag
6 4
Direct
0.7500 0.9414 0.7500
0.2500 0.0586 0.2500
0.4414 0.2500 0.7500
0.9414 0.4414 0.2500
0.5586 0.7500 0.2500
0.0586 0.5586 0.7500
0.8475 0.1525 0.4575
0.1525 0.8475 0.5425
0.3475 0.6525 0.9575
0.6525 0.3475 0.0425
```

Output
The raw total energy is -11.618 eV per atom. The space group is R-3c (167). Its formation energy is -1.20 eV per atom.